Record 1
This record from Materials Project describes a relaxed Ba5Eu5Fe10O26 crystal. The functional is GGA+U.

Summary:
- Space group: P-1, No. 2
- Total moment: 69.19 μB/f.u.
- DFT formation energy: -2.3774 eV per atom

abc: 8.798 8.957 8.953
angles: 89.91 114.05 101.82
Element x y z (fractional)
Ba  0.000  0.800  0.600
Ba  0.000  0.602  0.199
Ba  0.003  0.402  0.802
Ba  0.997  0.198  0.398
Ba  0.000  0.998  0.001
Eu  0.500  0.895  0.812
Eu  0.500  0.705  0.388
Eu  0.500  0.512  0.005
Eu  0.500  0.300  0.600
Eu  0.500  0.088  0.195
Fe  0.753  0.650  0.798
Fe  0.750  0.446  0.400
Fe  0.750  0.253  0.999
Fe  0.750  0.051  0.603
Fe  0.740  0.848  0.196
Fe  0.250  0.549  0.597
Fe  0.250  0.347  0.201
Fe  0.250  0.154  0.800
Fe  0.247  0.950  0.402
Fe  0.260  0.752  0.004
O  0.698  0.840  0.679
O  0.717  0.635  0.291
O  0.699  0.439  0.879
O  0.698  0.240  0.480
O  0.716  0.052  0.082
O  0.302  0.760  0.521
O  0.284  0.548  0.118
O  0.302  0.360  0.720
O  0.301  0.161  0.321
O  0.283  0.965  0.909
O  0.700  0.539  0.581
O  0.698  0.339  0.179
O  0.699  0.141  0.779
O  0.717  0.948  0.395
O  0.717  0.739  0.978
O  0.301  0.459  0.421
O  0.302  0.261  0.021
O  0.300  0.061  0.619
O  0.283  0.861  0.222
O  0.283  0.652  0.805
O  0.002  0.699  0.898
O  0.000  0.496  0.499
O  0.000  0.300  0.100
O  0.000  0.104  0.701
O  0.998  0.901  0.302
O  0.500  0.800  0.100

---

Record 2
This record from Materials Project describes a relaxed BaPrEuFeO6 crystal. The functional is GGA+U.

Summary:
- Space group: F-43m, No. 216
- Total moment: 10.00 μB/f.u.
- DFT formation energy: -2.6397 eV per atom

abc: 5.881 5.881 5.881
angles: 60.00 60.00 60.00
Element x y z (fractional)
Ba  0.250  0.250  0.250
Pr  0.750  0.750  0.750
Eu  0.000  0.000  0.000
Fe  0.500  0.500  0.500
O  0.735  0.265  0.265
O  0.265  0.735  0.735
O  0.735  0.265  0.735
O  0.265  0.735  0.265
O  0.735  0.735  0.265
O  0.265  0.265  0.735

---

Record 3
This record from Materials Project describes a relaxed BaEuInWO6 crystal. The functional is GGA+U.

Summary:
- Space group: F-43m, No. 216
- Total moment: 8.00 μB/f.u.
- DFT formation energy: -2.5031 eV per atom

abc: 5.883 5.883 5.883
angles: 60.00 60.00 60.00
Element x y z (fractional)
Ba  0.750  0.750  0.750
Eu  0.250  0.250  0.250
In  0.000  0.000  0.000
W  0.500  0.500  0.500
O  0.741  0.259  0.259
O  0.259  0.741  0.741
O  0.741  0.259  0.741
O  0.259  0.741  0.259
O  0.741  0.741  0.259
O  0.259  0.259  0.741

---

Record 4
This record from Materials Project describes a relaxed KBaEuWO6 crystal. The functional is GGA+U.

Summary:
- Space group: Pnnn, No. 48
- Total moment: 6.00 μB/f.u.
- DFT formation energy: -2.7330 eV per atom

abc: 8.524 8.534 8.543
angles: 90.00 90.00 90.00
Element x y z (fractional)
K  0.000  0.500  0.500
K  0.500  0.000  0.500
K  0.500  0.000  0.000
K  0.000  0.500  0.000
Ba  0.500  0.500  0.000
Ba  0.000  0.000  0.500
Ba  0.000  0.000  0.000
Ba  0.500  0.500  0.500
Eu  0.750  0.750  0.750
Eu  0.250  0.250  0.750
Eu  0.250  0.750  0.250
Eu  0.750  0.250  0.250
W  0.250  0.250  0.250
W  0.750  0.750  0.250
W  0.750  0.250  0.750
W  0.250  0.750  0.750
O  0.022  0.224  0.268
O  0.978  0.776  0.268
O  0.978  0.224  0.732
O  0.022  0.776  0.732
O  0.263  0.023  0.228
O  0.263  0.977  0.772
O  0.737  0.977  0.228
O  0.737  0.023  0.772
O  0.230  0.269  0.023
O  0.770  0.269  0.977
O  0.230  0.731  0.977
O  0.770  0.731  0.023
O  0.478  0.276  0.232
O  0.522  0.724  0.232
O  0.522  0.276  0.768
O  0.478  0.724  0.768
O  0.237  0.477  0.272
O  0.237  0.523  0.728
O  0.763  0.523  0.272
O  0.763  0.477  0.728
O  0.270  0.231  0.477
O  0.730  0.231  0.523
O  0.270  0.769  0.523
O  0.730  0.769  0.477